Entry 1:
Entry from Materials Project: crystalline BaHI at its relaxed geometry (PBE).

abc: 4.752 4.752 7.933
angles: 90.00 90.00 90.00
Space group P4/nmm (No. 129, origin choice 2)
Asymmetric unit:
Ba: 0.250 0.250 0.171 (multiplicity 2)
H: 0.250 0.750 0.000 (multiplicity 2)
I: 0.250 0.250 0.662 (multiplicity 2)

Values from the calculation:
DFT formation energy (eV per atom): -1.34
Electronic total energy (eV per atom): -3.4928


Entry 2:
Entry from Materials Project: crystalline DyCu2S2 at its relaxed geometry (PBE).

abc: 3.9453 3.9453 6.3560
angles: 90.00 90.00 120.00
Space group P-3m1 (No. 164)
Asymmetric unit:
Dy: 0.0000 0.0000 0.0000 (multiplicity 1)
Cu: 0.3333 0.6667 0.3395 (multiplicity 2)
S: 0.3333 0.6667 0.7340 (multiplicity 2)

Values from the calculation:
Spin magnetization (μB/f.u.): 0.0
DFT formation energy (eV per atom): -1.00
Electronic total energy (eV per atom): -5.0168